--- one ---
Mn4P3O12 | PBE+U | relaxed

Lattice parameters (Å, degrees): 8.499 8.499 9.873 115.59 115.59 60.18
Atoms (fractional coordinates):
Mn: 0.020 0.980 0.500
Mn: 0.322 0.480 0.995
Mn: 0.480 0.322 0.495
Mn: 0.498 0.994 0.667
Mn: 0.518 0.825 0.003
Mn: 0.825 0.518 0.503
Mn: 0.980 0.020 0.000
Mn: 0.994 0.498 0.167
P: 0.117 0.208 0.377
P: 0.208 0.117 0.877
P: 0.378 0.614 0.380
P: 0.614 0.378 0.880
P: 0.707 0.886 0.386
P: 0.886 0.707 0.886
O: 0.012 0.214 0.477
O: 0.046 0.116 0.729
O: 0.086 0.722 0.977
O: 0.116 0.046 0.229
O: 0.193 0.323 0.984
O: 0.214 0.012 0.977
O: 0.262 0.497 0.348
O: 0.301 0.818 0.487
O: 0.323 0.193 0.484
O: 0.394 0.605 0.230
O: 0.405 0.995 0.842
O: 0.497 0.262 0.848
O: 0.499 0.576 0.977
O: 0.549 0.897 0.236
O: 0.576 0.499 0.477
O: 0.605 0.394 0.730
O: 0.688 0.814 0.497
O: 0.722 0.086 0.477
O: 0.770 0.907 0.855
O: 0.814 0.688 0.997
O: 0.818 0.301 0.987
O: 0.897 0.549 0.736
O: 0.907 0.770 0.355
O: 0.995 0.405 0.342

--- two ---
Mn4P3O12 | PBE+U | relaxed

Lattice parameters (Å, degrees): 8.961 8.961 6.466 106.99 106.99 95.24
Atoms (fractional coordinates):
Mn: 0.004 0.996 0.500
Mn: 0.126 0.423 0.434
Mn: 0.212 0.739 0.286
Mn: 0.423 0.126 0.934
Mn: 0.538 0.830 0.157
Mn: 0.739 0.212 0.786
Mn: 0.830 0.538 0.657
Mn: 0.996 0.004 0.000
P: 0.142 0.351 0.915
P: 0.176 0.781 0.794
P: 0.351 0.142 0.415
P: 0.608 0.823 0.678
P: 0.781 0.176 0.294
P: 0.823 0.608 0.178
O: 0.006 0.754 0.811
O: 0.010 0.194 0.840
O: 0.089 0.436 0.735
O: 0.142 0.470 0.146
O: 0.194 0.010 0.340
O: 0.194 0.956 0.787
O: 0.200 0.673 0.577
O: 0.290 0.761 0.012
O: 0.303 0.306 0.931
O: 0.306 0.303 0.431
O: 0.436 0.089 0.235
O: 0.470 0.142 0.646
O: 0.487 0.818 0.443
O: 0.520 0.873 0.857
O: 0.653 0.662 0.664
O: 0.662 0.653 0.164
O: 0.673 0.200 0.077
O: 0.754 0.006 0.311
O: 0.759 0.956 0.748
O: 0.761 0.290 0.512
O: 0.818 0.487 0.943
O: 0.873 0.520 0.357
O: 0.956 0.194 0.287
O: 0.956 0.759 0.248

Verdict on stability: one comes out at the bottom.

--- one ---
Mn4P3O12 | PBE+U | relaxed

Lattice parameters (Å, degrees): 7.754 8.209 9.732 109.97 112.96 93.60
Atoms (fractional coordinates):
Mn: 0.027 0.298 0.457
Mn: 0.270 0.421 0.932
Mn: 0.280 0.033 0.931
Mn: 0.315 0.117 0.305
Mn: 0.685 0.883 0.695
Mn: 0.720 0.967 0.069
Mn: 0.730 0.579 0.068
Mn: 0.973 0.702 0.543
P: 0.016 0.752 0.934
P: 0.295 0.048 0.613
P: 0.402 0.643 0.751
P: 0.598 0.357 0.249
P: 0.705 0.952 0.387
P: 0.984 0.248 0.066
O: 0.061 0.212 0.229
O: 0.078 0.578 0.905
O: 0.141 0.244 0.004
O: 0.158 0.865 0.521
O: 0.186 0.559 0.626
O: 0.186 0.918 0.059
O: 0.248 0.159 0.504
O: 0.270 0.153 0.770
O: 0.425 0.837 0.870
O: 0.462 0.530 0.856
O: 0.470 0.346 0.333
O: 0.495 0.964 0.344
O: 0.505 0.036 0.656
O: 0.530 0.654 0.667
O: 0.538 0.470 0.144
O: 0.575 0.163 0.130
O: 0.730 0.847 0.230
O: 0.752 0.841 0.496
O: 0.814 0.082 0.941
O: 0.814 0.441 0.374
O: 0.842 0.135 0.479
O: 0.859 0.756 0.996
O: 0.922 0.422 0.095
O: 0.939 0.788 0.771

--- two ---
Mn4P3O12 | PBE+U | relaxed

Lattice parameters (Å, degrees): 9.838 9.838 9.838 51.13 51.13 51.13
Atoms (fractional coordinates):
Mn: 0.000 0.000 0.000
Mn: 0.018 0.478 0.675
Mn: 0.175 0.978 0.518
Mn: 0.478 0.675 0.018
Mn: 0.500 0.500 0.500
Mn: 0.518 0.175 0.978
Mn: 0.675 0.018 0.478
Mn: 0.978 0.518 0.175
P: 0.115 0.791 0.382
P: 0.291 0.615 0.882
P: 0.382 0.115 0.791
P: 0.615 0.882 0.291
P: 0.791 0.382 0.115
P: 0.882 0.291 0.615
O: 0.000 0.278 0.417
O: 0.090 0.732 0.997
O: 0.103 0.949 0.386
O: 0.177 0.192 0.809
O: 0.192 0.809 0.177
O: 0.232 0.590 0.497
O: 0.278 0.417 0.000
O: 0.309 0.692 0.677
O: 0.386 0.103 0.949
O: 0.417 0.000 0.278
O: 0.449 0.603 0.886
O: 0.497 0.232 0.590
O: 0.500 0.917 0.778
O: 0.590 0.497 0.232
O: 0.603 0.886 0.449
O: 0.677 0.309 0.692
O: 0.692 0.677 0.309
O: 0.732 0.997 0.090
O: 0.778 0.500 0.917
O: 0.809 0.177 0.192
O: 0.886 0.449 0.603
O: 0.917 0.778 0.500
O: 0.949 0.386 0.103
O: 0.997 0.090 0.732

Verdict on stability: two comes out at the bottom.

--- one ---
MnP3O9 | PBE+U | relaxed

Lattice parameters (Å, degrees): 6.680 6.680 9.786 92.51 92.51 59.56
Atoms (fractional coordinates):
Mn: 0.014 0.986 0.500
Mn: 0.986 0.014 0.000
P: 0.375 0.741 0.249
P: 0.388 0.880 0.746
P: 0.725 0.893 0.255
P: 0.741 0.375 0.749
P: 0.880 0.388 0.246
P: 0.893 0.725 0.755
O: 0.005 0.735 0.629
O: 0.241 0.777 0.117
O: 0.254 0.751 0.378
O: 0.259 0.986 0.873
O: 0.265 0.978 0.610
O: 0.474 0.916 0.264
O: 0.490 0.603 0.740
O: 0.603 0.490 0.240
O: 0.617 0.901 0.746
O: 0.735 0.005 0.129
O: 0.751 0.254 0.878
O: 0.763 0.984 0.393
O: 0.777 0.241 0.617
O: 0.901 0.617 0.246
O: 0.916 0.474 0.764
O: 0.978 0.265 0.110
O: 0.984 0.763 0.893
O: 0.986 0.259 0.373

Output
The calculation puts the piezoelectric modulus e_max at 0.39 C/m2.

--- two ---
MnP3O9 | PBE+U | relaxed

Lattice parameters (Å, degrees): 7.300 9.673 10.218 93.61 93.25 101.01
Atoms (fractional coordinates):
O: 0.182 0.226 0.690
O: 0.641 0.691 0.548
O: 0.377 0.814 0.569
O: 0.037 0.061 0.866
O: 0.977 0.240 0.428
O: 0.680 0.949 0.907
O: 0.623 0.686 0.931
O: 0.776 0.032 0.302
O: 0.811 0.532 0.057
O: 0.037 0.561 0.366
O: 0.320 0.551 0.592
O: 0.359 0.309 0.452
O: 0.615 0.352 0.633
O: 0.224 0.968 0.698
O: 0.385 0.648 0.367
O: 0.385 0.148 0.867
O: 0.377 0.314 0.069
O: 0.962 0.939 0.134
O: 0.811 0.032 0.557
O: 0.320 0.051 0.093
O: 0.189 0.968 0.443
O: 0.615 0.852 0.133
O: 0.641 0.191 0.048
O: 0.182 0.726 0.190
O: 0.023 0.760 0.572
O: 0.963 0.439 0.634
O: 0.359 0.809 0.952
O: 0.189 0.468 0.943
O: 0.224 0.468 0.198
O: 0.680 0.449 0.407
O: 0.977 0.740 0.928
O: 0.776 0.532 0.802
O: 0.623 0.186 0.431
O: 0.818 0.274 0.810
O: 0.818 0.774 0.310
O: 0.023 0.260 0.072
P: 0.809 0.392 0.726
P: 0.569 0.830 0.977
P: 0.814 0.619 0.944
P: 0.186 0.881 0.556
P: 0.186 0.381 0.056
P: 0.431 0.170 0.023
P: 0.191 0.108 0.774
P: 0.191 0.608 0.274
P: 0.809 0.892 0.226
P: 0.431 0.670 0.523
P: 0.814 0.119 0.444
P: 0.569 0.330 0.477
Mn: 0.841 0.635 0.453
Mn: 0.159 0.365 0.547
Mn: 0.841 0.135 0.953
Mn: 0.159 0.865 0.047

Verdict on stability: two comes out at the bottom.

--- one ---
MnP3O9 | PBE+U | relaxed

Lattice parameters (Å, degrees): 7.032 7.216 7.299 84.03 86.08 74.66
Atoms (fractional coordinates):
Mn: 0.067 0.149 0.173
Mn: 0.933 0.851 0.827
P: 0.037 0.224 0.646
P: 0.246 0.438 0.865
P: 0.371 0.765 0.308
P: 0.629 0.235 0.692
P: 0.754 0.562 0.135
P: 0.963 0.776 0.354
O: 0.082 0.051 0.792
O: 0.082 0.190 0.449
O: 0.150 0.376 0.696
O: 0.182 0.656 0.861
O: 0.190 0.660 0.319
O: 0.205 0.329 0.044
O: 0.306 0.949 0.175
O: 0.446 0.772 0.488
O: 0.476 0.385 0.820
O: 0.524 0.615 0.180
O: 0.554 0.228 0.512
O: 0.694 0.051 0.825
O: 0.795 0.671 0.956
O: 0.810 0.340 0.681
O: 0.818 0.344 0.139
O: 0.850 0.624 0.304
O: 0.918 0.810 0.551
O: 0.918 0.949 0.208

--- two ---
MnP3O9 | PBE+U | relaxed

Lattice parameters (Å, degrees): 11.773 11.773 9.440 108.99 108.99 111.77
Atoms (fractional coordinates):
Mn: 0.080 0.920 0.500
Mn: 0.263 0.773 0.032
Mn: 0.408 0.586 0.495
Mn: 0.586 0.408 0.995
Mn: 0.773 0.263 0.532
Mn: 0.920 0.080 0.000
P: 0.003 0.732 0.684
P: 0.066 0.677 0.193
P: 0.067 0.438 0.249
P: 0.107 0.167 0.823
P: 0.129 0.419 0.788
P: 0.167 0.107 0.323
P: 0.324 0.381 0.657
P: 0.381 0.324 0.157
P: 0.419 0.129 0.288
P: 0.438 0.067 0.749
P: 0.452 0.851 0.853
P: 0.517 0.790 0.348
P: 0.677 0.066 0.693
P: 0.713 0.752 0.222
P: 0.732 0.003 0.184
P: 0.752 0.713 0.722
P: 0.790 0.517 0.848
P: 0.851 0.452 0.353
O: 0.035 0.303 0.116
O: 0.044 0.526 0.151
O: 0.068 0.743 0.360
O: 0.077 0.860 0.669
O: 0.078 0.745 0.855
O: 0.082 0.975 0.325
O: 0.099 0.100 0.651
O: 0.100 0.099 0.151
O: 0.145 0.325 0.879
O: 0.177 0.558 0.934
O: 0.192 0.242 0.473
O: 0.195 0.770 0.192
O: 0.206 0.532 0.420
O: 0.242 0.192 0.973
O: 0.247 0.447 0.733
O: 0.303 0.035 0.616
O: 0.325 0.145 0.379
O: 0.336 0.987 0.127
O: 0.339 0.399 0.270
O: 0.339 0.762 0.880
O: 0.398 0.941 0.791
O: 0.399 0.339 0.770
O: 0.410 0.684 0.364
O: 0.415 0.487 0.623
O: 0.447 0.247 0.233
O: 0.458 0.834 0.225
O: 0.483 0.771 0.730
O: 0.487 0.415 0.123
O: 0.526 0.044 0.651
O: 0.532 0.206 0.920
O: 0.558 0.177 0.434
O: 0.594 0.976 0.034
O: 0.605 0.728 0.295
O: 0.611 0.655 0.569
O: 0.640 0.927 0.536
O: 0.655 0.611 0.069
O: 0.684 0.410 0.864
O: 0.691 0.843 0.132
O: 0.728 0.605 0.795
O: 0.743 0.068 0.860
O: 0.745 0.078 0.355
O: 0.762 0.339 0.380
O: 0.770 0.195 0.692
O: 0.771 0.483 0.230
O: 0.829 0.858 0.872
O: 0.834 0.458 0.725
O: 0.843 0.691 0.632
O: 0.858 0.829 0.372
O: 0.860 0.077 0.169
O: 0.927 0.640 0.036
O: 0.941 0.398 0.291
O: 0.975 0.082 0.825
O: 0.976 0.594 0.534
O: 0.987 0.336 0.627

Verdict on stability: one comes out at the bottom.